An optimized crystal structure of Ti3Bi4O12. Source: the Materials Project database, functional PBE.

a b c (Å): 3.8694 3.8694 33.5080
angles (deg): 90.00 90.00 90.91
With the nearest neighbours (Å) after each atom.
Element x y z (fractional)
Ti 0.9896 0.9896 0.5000  6 O 1.87-2.01
Ti 0.5149 0.4890 0.1290  3 O 1.79-1.93
Ti 0.4896 0.4896 0.0000  6 O 1.87-2.01
Ti 0.0149 0.9890 0.3710  3 O 1.79-1.93
Ti 0.4890 0.5149 0.8710  3 O 1.79-1.93
Ti 0.9890 0.0149 0.6290  3 O 1.79-1.93
Bi 0.0201 0.9861 0.7882  4 O 2.28-2.36
Bi 0.5201 0.4861 0.7118  4 O 2.28-2.36
Bi 0.9172 0.0704 0.9336  3 O 2.23-2.35
Bi 0.4172 0.5704 0.5664  3 O 2.23-2.35
Bi 0.0704 0.9172 0.0664  3 O 2.23-2.35
Bi 0.4861 0.5201 0.2882  4 O 2.28-2.36
Bi 0.5704 0.4172 0.4336  3 O 2.23-2.35
Bi 0.9861 0.0201 0.2118  4 O 2.28-2.36
O 0.5076 0.0178 0.5004  2 Ti 1.87-2.01
O 0.9910 0.0248 0.6825  1 Ti 1.79
O 0.5248 0.4910 0.1825  1 Ti 1.79
O 0.0114 0.4989 0.7500  4 Bi 2.28-2.36
O 0.4813 0.0054 0.1171  2 Ti 1.92-2.04
O 0.4865 0.5277 0.0595  1 Ti 2.00, 1 Bi 2.23
O 0.5232 0.0009 0.8831  2 Ti 1.93-2.04
O 0.5277 0.4865 0.9405  1 Ti 2.00, 1 Bi 2.23
O 0.4910 0.5248 0.8175  1 Ti 1.79
O 0.0277 0.9865 0.5595  1 Ti 2.00, 1 Bi 2.23
O 0.0009 0.5232 0.1169  2 Ti 1.93-2.04
O 0.5178 0.0076 0.0004  2 Ti 1.87-2.01
O 0.0076 0.5178 0.9996  2 Ti 1.87-2.01
O 0.0178 0.5076 0.4996  2 Ti 1.87-2.01
O 0.0232 0.5009 0.6169  2 Ti 1.93-2.04
O 0.9989 0.5114 0.2500  4 Bi 2.28-2.36
O 0.5054 0.9813 0.6171  2 Ti 1.92-2.04
O 0.5009 0.0232 0.3831  2 Ti 1.93-2.04
O 0.9865 0.0277 0.4405  1 Ti 2.00, 1 Bi 2.23
O 0.0054 0.4813 0.8829  2 Ti 1.92-2.04
O 0.4989 0.0114 0.2500  4 Bi 2.28-2.36
O 0.0248 0.9910 0.3175  1 Ti 1.79
O 0.5114 0.9989 0.7500  4 Bi 2.28-2.36
O 0.9813 0.5054 0.3829  2 Ti 1.92-2.04

raw total energy: -7.27 eV per atom
space-group type: Aea2
polymorph energy (0 for the lowest one): 38 meV/atom
energy of formation from the pure elements: -2.51 eV/atom